This record from the Materials Project database describes a relaxed Fe3Sn2 crystal. The functional is meta-GGA r2SCAN.

Calculated values
The value obtained for the formation energy is 7 kJ/mol of atoms. Its space-group type is R-3m, No. 166. Its total magnetization is 14.56 μB per cell. The uncorrected energy is -18.48 eV per atom. Its crystal system is trigonal.

```
Fe3Sn2
1.0
4.9839 0.0165 5.3926
2.1214 4.5095 5.3925
0.0263 0.0166 7.3427
Fe Sn
6 4
direct
0.1278 0.6064 0.6065
0.8722 0.3935 0.3936
0.6064 0.1279 0.6064
0.6064 0.6064 0.1279
0.3936 0.8721 0.3935
0.3936 0.3935 0.8721
0.8953 0.8954 0.8954
0.3302 0.3303 0.3303
0.1046 0.1046 0.1046
0.6698 0.6697 0.6697
```


This record from the Materials Project database describes a relaxed FeSn crystal. The functional is meta-GGA r2SCAN.

Calculated values
The value obtained for the formation energy is 7 kJ/mol of atoms. Its space-group type is P6/mmm, No. 191. Its total magnetization is 7.18 μB per cell. The uncorrected energy is -19.51 eV per atom. Its crystal system is hexagonal.

```
FeSn
1.0
2.6540 -4.5967 0.0000
2.6541 4.5967 0.0000
0.0000 0.0000 4.5095
Fe Sn
3 3
direct
0.0000 0.5000 0.0000
0.5000 0.5000 0.0000
0.5000 0.0000 0.0000
0.0000 0.0000 0.0000
0.3333 0.6667 0.5000
0.6667 0.3333 0.5000
```


This record from the Materials Project database describes a relaxed U2Fe2Sn crystal. The functional is meta-GGA r2SCAN.

Calculated values
The value obtained for the formation energy is -2 kJ/mol of atoms. Its space-group type is P4/mbm, No. 127. Its total magnetization is 2.82 μB per cell. The uncorrected energy is -42.71 eV per atom. Its crystal system is tetragonal.

```
U2Fe2Sn
1.0
-4.2605 -1.6752 -5.8924
6.1251 -1.0480 -4.1309
0.0451 -3.2548 0.8927
Fe Sn U
4 2 4
direct
0.1353 0.6353 0.0000
0.8647 0.3647 0.0000
0.3647 0.1353 0.0000
0.6353 0.8647 0.0000
0.5000 0.5000 0.0000
0.0000 0.0000 0.0000
0.6654 0.1654 0.5000
0.8346 0.6654 0.5000
0.3346 0.8346 0.5000
0.1654 0.3346 0.5000
```


This record from the Materials Project database describes a relaxed Zr6FeSn2 crystal. The functional is meta-GGA r2SCAN.

Calculated values
The value obtained for the formation energy is -38 kJ/mol of atoms. Its space-group type is P-62m, No. 189. Its total magnetization is 1.50 μB per cell. The uncorrected energy is -22.66 eV per atom. Its crystal system is hexagonal.

```
Zr6FeSn2
1.0
-3.0146 -1.6179 0.8501
-2.8086 1.3766 -7.3394
4.0341 -6.7104 1.5342
Fe Zr Sn
1 6 2
direct
0.0000 0.0000 0.0001
0.0000 0.3935 0.3935
0.5000 0.7565 0.7566
0.0000 0.6065 0.0000
0.5000 0.0000 0.2434
0.0000 0.0000 0.6064
0.5000 0.2435 0.0000
0.5000 0.6666 0.3333
0.5000 0.3333 0.6667
```


> uncorrected energy of number 3 (U2Fe2Sn)?

-42.71 eV per atom